(1)
Here is an optimized crystal structure of Mn23As16 from the Materials Project. Energies are from PBE.

Electronic total energy ... -290.81 eV/cell

abc: 6.719 7.015 12.854
angles: 97.84 97.72 104.93
Space group P1 (No. 1)
Inequivalent atoms, fractional coordinates:
Mn1 0.000 0.000 0.000 x1
Mn2 0.000 0.500 0.001 x1
Mn3 0.132 0.932 0.591 x1
Mn4 0.134 0.434 0.592 x1
Mn5 0.260 0.364 0.185 x1
Mn6 0.265 0.865 0.189 x1
Mn7 0.268 0.658 0.359 x1
Mn8 0.271 0.159 0.359 x1
Mn9 0.352 0.558 0.875 x1
Mn10 0.353 0.058 0.875 x1
Mn11 0.551 0.559 0.675 x1
Mn12 0.554 0.061 0.680 x1
Mn13 0.605 0.989 0.345 x1
Mn14 0.625 0.933 0.102 x1
Mn15 0.626 0.430 0.096 x1
Mn16 0.653 0.375 0.838 x1
Mn17 0.653 0.872 0.837 x1
Mn18 0.699 0.788 0.496 x1
Mn19 0.700 0.313 0.495 x1
Mn20 0.918 0.810 0.312 x1
Mn21 0.920 0.311 0.312 x1
Mn22 0.983 0.205 0.823 x1
Mn23 0.984 0.702 0.824 x1
As1 0.000 0.049 0.189 x1
As2 0.257 0.314 0.995 x1
As3 0.260 0.815 0.998 x1
As4 0.304 0.261 0.726 x1
As5 0.304 0.758 0.726 x1
As6 0.420 0.478 0.484 x1
As7 0.427 0.980 0.491 x1
As8 0.537 0.681 0.230 x1
As9 0.538 0.205 0.229 x1
As10 0.726 0.173 0.967 x1
As11 0.726 0.675 0.968 x1
As12 0.831 0.384 0.688 x1
As13 0.834 0.881 0.689 x1
As14 0.955 0.105 0.457 x1
As15 0.956 0.604 0.456 x1
As16 0.998 0.550 0.189 x1

(2)
Here is an optimized crystal structure of Sm2Co12P7 from the Materials Project. Energies are from PBE.

Electronic total energy ... -148.83 eV/cell

abc: 9.0744 9.0744 3.6233
angles: 90.00 90.00 120.00
Space group P-6 (No. 174)
Inequivalent atoms, fractional coordinates:
Sm1 0.0000 0.0000 0.0000 x1
Sm2 0.3333 0.6667 0.5000 x1
Co1 0.0485 0.7664 0.5000 x3
Co2 0.0994 0.3919 0.0000 x3
Co3 0.3957 0.2140 0.0000 x3
Co4 0.5372 0.1011 0.5000 x3
P1 0.0700 0.6272 0.0000 x3
P2 0.2675 0.0419 0.5000 x3
P3 0.6667 0.3333 0.0000 x1

> electronic total energy of number 1 (Mn23As16)?

-290.81 eV/cell

> Number 1 is which compound?

Mn23As16

> electronic total energy of number 1 (Mn23As16)?

-290.81 eV/cell